Material: Si2H2O5
Method: DFT, PBE
State: relaxed

```
data_Si2H2O5
_chemical_formula_sum 'Si8 H8 O20'
_space_group_name_H-M_alt 'C 1 2 1'
_space_group_IT_number 5
_space_group_name_Hall 'C 2y'
_cell_length_a 16.712
_cell_length_b 5.207
_cell_length_c 5.955
_cell_angle_alpha 90.00
_cell_angle_beta 110.45
_cell_angle_gamma 90.00
loop_
_atom_site_label
_atom_site_type_symbol
_atom_site_fract_x
_atom_site_fract_y
_atom_site_fract_z
Si1 Si 0.096 0.000 0.193
Si2 Si 0.096 0.505 0.498
H1 H 0.161 0.351 0.871
H2 H 0.223 0.034 0.132
O1 O 0.000 0.547 0.500
O2 O 0.000 0.986 0.000
O3 O 0.101 0.230 0.379
O4 O 0.119 0.734 0.347
O5 O 0.161 0.058 0.047
O6 O 0.168 0.497 0.771
```

Summary:
Calculated density (kg/m³): 1890
Final energy (eV/atom): -6.90
Piezoelectric modulus e_max (C/m2): 0.44
Polymorph energy (0 for the lowest one) (eV per atom): 0.000
ΔE_f (eV/atom): -2.57